First-principles (GGA-PBE) data for crystalline Cs2GaAuF6 at its relaxed geometry, as listed in the Materials Project database.

As for the crystal system: cubic. For the raw total energy, the calculation gives -4.192 eV per atom. Its volume is 18.4 A^3/atom.

The space group is Fm-3m (No. 225) and the conventional cell measures 9.022, 9.022 and 9.022 Å, with angles of 90.00, 90.00 and 90.00 degrees. The asymmetric unit holds Cs at (0.250, 0.250, 0.250), Ga at (0.000, 0.000, 0.000), Au at (0.000, 0.000, 0.500) and F at (0.000, 0.000, 0.215).